Record 1
A relaxed TiCu3O4 crystal, computed with PBE-GGA. Values from VASP.

```
&SYSTEM
  ibrav = 0, nat = 8, ntyp = 3
/
ATOMIC_SPECIES
Ti 47.87 Ti.upf
Cu 63.55 Cu.upf
O 16.00 O.upf
CELL_PARAMETERS angstrom
3.010 0.000 0.000
-1.505 2.607 0.000
0.000 0.000 11.606
ATOMIC_POSITIONS crystal
Ti 0.000 0.000 0.000
Cu 0.000 0.000 0.500
Cu 0.333 0.667 0.255
Cu 0.667 0.333 0.745
O 0.333 0.667 0.092
O 0.333 0.667 0.410
O 0.667 0.333 0.590
O 0.667 0.333 0.908
```

Results
ΔE_f (eV/atom): -1.578
Total magnetization (μB per atom): 0.28
SG: No. 164


Record 2
A relaxed KLaCeSnO6 crystal, computed with PBE-GGA. Values from VASP.

```
&SYSTEM
  ibrav = 0, nat = 40, ntyp = 5
/
ATOMIC_SPECIES
K 39.10 K.upf
La 138.91 La.upf
Ce 140.12 Ce.upf
Sn 118.71 Sn.upf
O 16.00 O.upf
CELL_PARAMETERS angstrom
8.396 0.000 0.000
0.000 8.516 0.000
0.000 0.000 8.555
ATOMIC_POSITIONS crystal
K 0.250 0.250 0.250
K 0.250 0.750 0.750
K 0.750 0.250 0.250
K 0.750 0.750 0.750
La 0.250 0.250 0.750
La 0.250 0.750 0.250
La 0.750 0.250 0.750
La 0.750 0.750 0.250
Ce 0.000 0.000 0.000
Ce 0.000 0.500 0.500
Ce 0.500 0.000 0.500
Ce 0.500 0.500 0.000
Sn 0.000 0.000 0.500
Sn 0.000 0.500 0.000
Sn 0.500 0.000 0.000
Sn 0.500 0.500 0.500
O 0.030 0.057 0.741
O 0.030 0.443 0.759
O 0.037 0.743 0.991
O 0.037 0.757 0.509
O 0.242 0.023 0.467
O 0.242 0.477 0.033
O 0.258 0.023 0.033
O 0.258 0.477 0.467
O 0.463 0.743 0.509
O 0.463 0.757 0.991
O 0.470 0.057 0.759
O 0.470 0.443 0.741
O 0.530 0.557 0.259
O 0.530 0.943 0.241
O 0.537 0.243 0.009
O 0.537 0.257 0.491
O 0.742 0.523 0.533
O 0.742 0.977 0.967
O 0.758 0.523 0.967
O 0.758 0.977 0.533
O 0.963 0.243 0.491
O 0.963 0.257 0.009
O 0.970 0.557 0.241
O 0.970 0.943 0.259
```

Results
ΔE_f (eV/atom): -2.984
Total magnetization (μB per atom): 0.00
SG: No. 48
Relative energy among the computed polymorphs (meV per atom): 0.0


Record 3
A relaxed Ti2Ni21B6 crystal, computed with PBE-GGA. Values from VASP.

```
&SYSTEM
  ibrav = 0, nat = 29, ntyp = 3
/
ATOMIC_SPECIES
Ti 47.87 Ti.upf
Ni 58.69 Ni.upf
B 10.81 B.upf
CELL_PARAMETERS angstrom
0.000 5.237 5.237
5.237 0.000 5.237
5.237 5.237 0.000
ATOMIC_POSITIONS crystal
Ti 0.250 0.250 0.250
Ti 0.750 0.750 0.750
Ni 0.000 0.000 0.000
Ni 0.000 0.000 0.340
Ni 0.000 0.000 0.660
Ni 0.000 0.340 0.000
Ni 0.000 0.340 0.660
Ni 0.000 0.660 0.000
Ni 0.000 0.660 0.340
Ni 0.150 0.617 0.617
Ni 0.340 0.000 0.000
Ni 0.340 0.000 0.660
Ni 0.340 0.660 0.000
Ni 0.383 0.383 0.383
Ni 0.383 0.383 0.850
Ni 0.383 0.850 0.383
Ni 0.617 0.150 0.617
Ni 0.617 0.617 0.150
Ni 0.617 0.617 0.617
Ni 0.660 0.000 0.000
Ni 0.660 0.000 0.340
Ni 0.660 0.340 0.000
Ni 0.850 0.383 0.383
B 0.269 0.269 0.731
B 0.269 0.731 0.269
B 0.269 0.731 0.731
B 0.731 0.269 0.269
B 0.731 0.269 0.731
B 0.731 0.731 0.269
```

Results
ΔE_f (eV/atom): -0.364
SG: No. 225


Record 4
A relaxed Li6SbS2 crystal, computed with PBE-GGA. Values from VASP.

```
&SYSTEM
  ibrav = 0, nat = 9, ntyp = 3
/
ATOMIC_SPECIES
Li 6.94 Li.upf
Sb 121.76 Sb.upf
S 32.06 S.upf
CELL_PARAMETERS angstrom
-2.022 2.022 9.706
2.022 -2.022 9.706
2.022 2.022 -9.706
ATOMIC_POSITIONS crystal
Li 0.102 0.602 0.500
Li 0.250 0.750 0.500
Li 0.398 0.898 0.500
Li 0.602 0.102 0.500
Li 0.750 0.250 0.500
Li 0.898 0.398 0.500
Sb 0.000 0.000 0.000
S 0.324 0.324 0.000
S 0.676 0.676 0.000
```

Results
ΔE_f (eV/atom): -1.130
Total magnetization (μB per atom): 0.00
SG: No. 139
Relative energy among the computed polymorphs (meV per atom): 0.0


Record 5
A relaxed Zn3H14C10O13 crystal, computed with PBE-GGA. Values from VASP.

```
&SYSTEM
  ibrav = 0, nat = 160, ntyp = 4
/
ATOMIC_SPECIES
Zn 65.41 Zn.upf
H 1.01 H.upf
C 12.01 C.upf
O 16.00 O.upf
CELL_PARAMETERS angstrom
11.687 0.000 0.000
0.000 10.251 0.000
-11.316 0.000 15.316
ATOMIC_POSITIONS crystal
Zn 0.000 0.000 0.000
Zn 0.000 0.500 0.500
Zn 0.066 0.116 0.307
Zn 0.066 0.384 0.807
Zn 0.124 0.076 0.868
Zn 0.124 0.424 0.368
Zn 0.500 0.000 0.000
Zn 0.500 0.500 0.500
Zn 0.876 0.576 0.632
Zn 0.876 0.924 0.132
Zn 0.934 0.616 0.193
Zn 0.934 0.884 0.693
H 0.000 0.116 0.447
H 0.000 0.384 0.947
H 0.000 0.616 0.053
H 0.000 0.884 0.553
H 0.025 0.743 0.870
H 0.025 0.757 0.370
H 0.236 0.187 0.668
H 0.236 0.313 0.168
H 0.253 0.557 0.046
H 0.253 0.943 0.546
H 0.254 0.700 0.273
H 0.254 0.800 0.773
H 0.265 0.655 0.573
H 0.265 0.845 0.073
H 0.283 0.056 0.261
H 0.283 0.444 0.761
H 0.336 0.162 0.565
H 0.336 0.338 0.065
H 0.353 0.104 0.771
H 0.353 0.396 0.271
H 0.416 0.610 0.146
H 0.416 0.890 0.646
H 0.451 0.614 0.739
H 0.451 0.886 0.239
H 0.462 0.236 0.207
H 0.462 0.264 0.707
H 0.481 0.209 0.475
H 0.481 0.291 0.975
H 0.497 0.582 0.881
H 0.497 0.918 0.381
H 0.503 0.082 0.619
H 0.503 0.418 0.119
H 0.519 0.709 0.025
H 0.519 0.791 0.525
H 0.538 0.736 0.293
H 0.538 0.764 0.793
H 0.549 0.114 0.761
H 0.549 0.386 0.261
H 0.584 0.110 0.354
H 0.584 0.390 0.854
H 0.647 0.604 0.729
H 0.647 0.896 0.229
H 0.664 0.662 0.935
H 0.664 0.838 0.435
H 0.717 0.556 0.239
H 0.717 0.944 0.739
H 0.735 0.155 0.927
H 0.735 0.345 0.427
H 0.746 0.200 0.227
H 0.746 0.300 0.727
H 0.747 0.057 0.454
H 0.747 0.443 0.954
H 0.764 0.687 0.832
H 0.764 0.813 0.332
H 0.975 0.243 0.630
H 0.975 0.257 0.130
C 0.011 0.664 0.826
C 0.011 0.836 0.326
C 0.017 0.220 0.442
C 0.017 0.280 0.942
C 0.177 0.029 0.202
C 0.177 0.471 0.702
C 0.270 0.629 0.322
C 0.270 0.871 0.822
C 0.274 0.592 0.529
C 0.274 0.908 0.029
C 0.324 0.116 0.705
C 0.324 0.384 0.205
C 0.338 0.529 0.114
C 0.338 0.971 0.614
C 0.365 0.229 0.434
C 0.365 0.271 0.934
C 0.411 0.098 0.620
C 0.411 0.402 0.120
C 0.450 0.157 0.705
C 0.450 0.343 0.205
C 0.550 0.657 0.795
C 0.550 0.843 0.295
C 0.589 0.598 0.880
C 0.589 0.902 0.380
C 0.635 0.729 0.066
C 0.635 0.771 0.566
C 0.662 0.029 0.386
C 0.662 0.471 0.886
C 0.676 0.616 0.795
C 0.676 0.884 0.295
C 0.726 0.092 0.971
C 0.726 0.408 0.471
C 0.730 0.129 0.178
C 0.730 0.371 0.678
C 0.823 0.529 0.298
C 0.823 0.971 0.798
C 0.983 0.720 0.058
C 0.983 0.780 0.558
C 0.989 0.164 0.674
C 0.989 0.336 0.174
O 0.008 0.202 0.989
O 0.008 0.298 0.489
O 0.046 0.249 0.388
O 0.046 0.251 0.888
O 0.052 0.194 0.754
O 0.052 0.306 0.254
O 0.057 0.553 0.860
O 0.057 0.947 0.360
O 0.079 0.016 0.212
O 0.079 0.484 0.712
O 0.157 0.579 0.307
O 0.157 0.921 0.807
O 0.163 0.522 0.476
O 0.163 0.978 0.976
O 0.166 0.012 0.133
O 0.166 0.488 0.633
O 0.278 0.509 0.161
O 0.278 0.991 0.661
O 0.284 0.134 0.393
O 0.284 0.366 0.893
O 0.330 0.152 0.932
O 0.330 0.348 0.432
O 0.387 0.598 0.536
O 0.387 0.902 0.036
O 0.397 0.607 0.386
O 0.397 0.893 0.886
O 0.603 0.107 0.114
O 0.603 0.393 0.614
O 0.613 0.098 0.964
O 0.613 0.402 0.464
O 0.670 0.652 0.568
O 0.670 0.848 0.068
O 0.716 0.634 0.107
O 0.716 0.866 0.607
O 0.722 0.009 0.339
O 0.722 0.491 0.839
O 0.834 0.512 0.367
O 0.834 0.988 0.867
O 0.837 0.022 0.024
O 0.837 0.478 0.524
O 0.843 0.079 0.193
O 0.843 0.421 0.693
O 0.921 0.516 0.288
O 0.921 0.984 0.788
O 0.943 0.053 0.640
O 0.943 0.447 0.140
O 0.948 0.694 0.746
O 0.948 0.806 0.246
O 0.954 0.749 0.112
O 0.954 0.751 0.612
O 0.992 0.702 0.511
O 0.992 0.798 0.011
```

Results
ΔE_f (eV/atom): -0.986
Total magnetization (μB per atom): 0.00
SG: No. 14


Record 6
A relaxed Ba6MgNb2IrCl2O12 crystal, computed with PBE-GGA. Values from VASP.

```
&SYSTEM
  ibrav = 0, nat = 24, ntyp = 6
/
ATOMIC_SPECIES
Ba 137.33 Ba.upf
Mg 24.30 Mg.upf
Nb 92.91 Nb.upf
Ir 192.22 Ir.upf
Cl 35.45 Cl.upf
O 16.00 O.upf
CELL_PARAMETERS angstrom
5.970 0.000 0.000
2.960 5.187 0.000
0.074 0.062 15.845
ATOMIC_POSITIONS crystal
Ba 0.000 0.000 0.000
Ba 0.000 0.000 0.368
Ba 0.330 0.329 0.750
Ba 0.331 0.329 0.180
Ba 0.332 0.331 0.482
Ba 0.998 0.997 0.606
Mg 0.996 0.994 0.184
Nb 0.663 0.661 0.212
Nb 0.665 0.664 0.575
Ir 0.665 0.664 0.389
Cl 0.330 0.328 0.960
Cl 0.997 0.996 0.804
O 0.335 0.826 0.139
O 0.361 0.816 0.480
O 0.499 0.498 0.631
O 0.500 0.991 0.631
O 0.511 0.966 0.302
O 0.513 0.512 0.302
O 0.817 0.360 0.480
O 0.817 0.816 0.480
O 0.826 0.824 0.140
O 0.828 0.333 0.140
O 0.967 0.509 0.302
O 0.992 0.498 0.631
```

Results
ΔE_f (eV/atom): -2.684
Total magnetization (μB per atom): 0.03
SG: No. 1
Relative energy among the computed polymorphs (meV per atom): 121.8


Question: Among the records above, which one has the highest ΔE_f?
Answer: Ti2Ni21B6


Question: Which of these has the lowest ΔE_f?
Answer: KLaCeSnO6


What did the fourth record say?
A relaxed Li6SbS2 crystal, computed with PBE-GGA. Values from VASP.

```
&SYSTEM
  ibrav = 0, nat = 9, ntyp = 3
/
ATOMIC_SPECIES
Li 6.94 Li.upf
Sb 121.76 Sb.upf
S 32.06 S.upf
CELL_PARAMETERS angstrom
-2.022 2.022 9.706
2.022 -2.022 9.706
2.022 2.022 -9.706
ATOMIC_POSITIONS crystal
Li 0.102 0.602 0.500
Li 0.250 0.750 0.500
Li 0.398 0.898 0.500
Li 0.602 0.102 0.500
Li 0.750 0.250 0.500
Li 0.898 0.398 0.500
Sb 0.000 0.000 0.000
S 0.324 0.324 0.000
S 0.676 0.676 0.000
```

Results
ΔE_f (eV/atom): -1.130
Total magnetization (μB per atom): 0.00
SG: No. 139
Relative energy among the computed polymorphs (meV per atom): 0.0